1.
# Ba4ScReWO12 | Materials Project | PBE+U | relaxed
data_Ba4ScReWO12
_cell_length_a 10.0299
_cell_length_b 10.0299
_cell_length_c 10.0299
_cell_angle_alpha 33.89
_cell_angle_beta 33.89
_cell_angle_gamma 33.89
_space_group_name_H-M_alt 'P 1'
_space_group_IT_number 1
loop_
_space_group_symop_operation_xyz
'x,y,z'
loop_
_atom_site_label
_atom_site_fract_x
_atom_site_fract_y
_atom_site_fract_z
_atom_site_occupancy
Ba1 0.8690 0.8690 0.8690 1
O1 0.7850 0.7850 0.3033 1
Re1 0.4195 0.4195 0.4195 1
Sc1 0.9984 0.9984 0.9984 1
W1 0.5794 0.5794 0.5794 1
O2 0.2201 0.6912 0.2201 1
O3 0.2201 0.2201 0.6912 1
O4 0.8649 0.3856 0.3856 1
Ba2 0.2893 0.2893 0.2893 1
O5 0.6085 0.6085 0.1436 1
O6 0.6912 0.2201 0.2201 1
Ba3 0.1347 0.1347 0.1347 1
O7 0.6085 0.1436 0.6085 1
O8 0.3856 0.8649 0.3856 1
O9 0.3856 0.3856 0.8649 1
Ba4 0.7081 0.7081 0.7081 1
O10 0.3033 0.7850 0.7850 1
O11 0.1436 0.6085 0.6085 1
O12 0.7850 0.3033 0.7850 1
# **Symmetry**: R3m
# **Piezoelectric modulus e_max**: 0.5 C/m2


2.
# Li9Mn7O16 | Materials Project | PBE+U | relaxed
data_Li9Mn7O16
_cell_length_a 5.3635
_cell_length_b 6.0288
_cell_length_c 10.1329
_cell_angle_alpha 86.89
_cell_angle_beta 102.08
_cell_angle_gamma 110.70
_space_group_name_H-M_alt 'P 1'
_space_group_IT_number 1
loop_
_space_group_symop_operation_xyz
'x,y,z'
loop_
_atom_site_label
_atom_site_fract_x
_atom_site_fract_y
_atom_site_fract_z
_atom_site_occupancy
Li1 0.0017 0.6228 0.3735 1
O1 0.7242 0.2988 0.4325 1
O2 0.7719 0.0727 0.1878 1
Mn1 0.9993 0.1242 0.3740 1
O3 0.2281 0.9273 0.8122 1
Mn2 0.0005 0.6252 0.8763 1
Li2 0.9900 0.8665 0.1207 1
O4 0.7655 0.5257 0.1822 1
Li3 0.9983 0.3772 0.6265 1
O5 0.7761 0.5749 0.6939 1
O6 0.2345 0.4743 0.8178 1
O7 0.2218 0.1762 0.5598 1
Mn3 0.4997 0.2534 0.2469 1
O8 0.2350 0.2128 0.0781 1
Li4 0.5000 0.5000 0.5000 1
Li5 0.5000 0.0000 0.0000 1
O9 0.2239 0.4251 0.3061 1
Li6 0.5087 0.2471 0.7511 1
O10 0.2758 0.7012 0.5675 1
Mn4 0.0007 0.8758 0.6260 1
O11 0.2182 0.6749 0.0580 1
O12 0.7650 0.7872 0.9219 1
Li7 0.4913 0.7529 0.2489 1
Li8 0.5000 0.5000 0.0000 1
Mn5 0.5000 0.0000 0.5000 1
O13 0.7782 0.8238 0.4402 1
O14 0.2762 0.9517 0.3173 1
Mn6 0.5003 0.7466 0.7531 1
Mn7 0.9995 0.3748 0.1237 1
O15 0.7238 0.0483 0.6827 1
Li9 0.0100 0.1335 0.8793 1
O16 0.7818 0.3251 0.9420 1
# **Symmetry**: P-1
# **Excess energy over the best structure of this formula in the dataset**: 0.002 eV per atom


3.
# MgMnNi6O8 | Materials Project | PBE+U | relaxed
data_MgMnNi6O8
_cell_length_a 6.0322
_cell_length_b 6.0322
_cell_length_c 6.0322
_cell_angle_alpha 60.00
_cell_angle_beta 60.00
_cell_angle_gamma 60.00
_space_group_name_H-M_alt 'P 1'
_space_group_IT_number 1
loop_
_space_group_symop_operation_xyz
'x,y,z'
loop_
_atom_site_label
_atom_site_fract_x
_atom_site_fract_y
_atom_site_fract_z
_atom_site_occupancy
Ni1 0.5000 0.0000 0.0000 1
Ni2 0.0000 0.5000 0.5000 1
Ni3 0.5000 0.5000 0.0000 1
O1 0.7438 0.7438 0.2562 1
O2 0.2562 0.7438 0.2562 1
O3 0.2562 0.7438 0.7438 1
Ni4 0.0000 0.5000 0.0000 1
Mg1 0.5000 0.5000 0.5000 1
Mn1 0.0000 0.0000 0.0000 1
O4 0.7438 0.2562 0.2562 1
O5 0.2500 0.2500 0.2500 1
Ni5 0.5000 0.0000 0.5000 1
O6 0.7438 0.2562 0.7438 1
Ni6 0.0000 0.0000 0.5000 1
O7 0.2562 0.2562 0.7438 1
O8 0.7500 0.7500 0.7500 1
# **Symmetry**: Fm-3m


Number 1: E_form -56.90 eV per formula unit. Number 2: E_form -68.57 eV per formula unit. Number 3: E_form -22.75 eV per formula unit.